Record 1
Compound: SrAl2Si2O8
Source: the Materials Project
Functional: GGA-PBE
Structure: optimized geometry

```
data_SrAl2Si2O8
_symmetry_space_group_name_H-M 'P 1'
_symmetry_Int_Tables_number 1
_cell_length_a 9.498
_cell_length_b 9.498
_cell_length_c 10.545
_cell_angle_alpha 78.60
_cell_angle_beta 78.60
_cell_angle_gamma 80.30
loop_
_symmetry_equiv_pos_as_xyz
'x,y,z'
loop_
_atom_site_label
_atom_site_fract_x
_atom_site_fract_y
_atom_site_fract_z
_atom_site_occupancy
O1 0.185 0.123 0.962 1
O2 0.310 0.372 0.625 1
O3 0.884 0.130 0.078 1
O4 0.568 0.351 0.466 1
O5 0.877 0.815 0.538 1
O6 0.123 0.185 0.462 1
O7 0.468 0.837 0.303 1
O8 0.815 0.877 0.038 1
O9 0.896 0.391 0.387 1
O10 0.072 0.218 0.224 1
O11 0.690 0.628 0.375 1
O12 0.870 0.116 0.422 1
O13 0.218 0.072 0.724 1
O14 0.391 0.896 0.887 1
O15 0.837 0.468 0.803 1
O16 0.133 0.931 0.182 1
O17 0.931 0.133 0.682 1
O18 0.351 0.568 0.966 1
O19 0.116 0.870 0.922 1
O20 0.104 0.609 0.613 1
O21 0.432 0.649 0.534 1
O22 0.867 0.069 0.818 1
O23 0.372 0.310 0.125 1
O24 0.130 0.884 0.578 1
O25 0.649 0.432 0.034 1
O26 0.609 0.104 0.113 1
O27 0.532 0.163 0.697 1
O28 0.928 0.782 0.776 1
O29 0.163 0.532 0.197 1
O30 0.628 0.690 0.875 1
O31 0.782 0.928 0.276 1
O32 0.069 0.867 0.318 1
Si1 0.457 0.253 0.579 1
Si2 0.543 0.747 0.421 1
Si3 0.253 0.457 0.079 1
Si4 0.230 0.989 0.875 1
Si5 0.989 0.230 0.375 1
Si6 0.747 0.543 0.921 1
Si7 0.011 0.770 0.625 1
Si8 0.770 0.011 0.125 1
Al1 0.058 0.111 0.110 1
Al2 0.557 0.288 0.075 1
Al3 0.942 0.889 0.890 1
Al4 0.288 0.557 0.575 1
Al5 0.111 0.058 0.610 1
Al6 0.712 0.443 0.425 1
Al7 0.889 0.942 0.390 1
Al8 0.443 0.712 0.925 1
Sr1 0.054 0.319 0.776 1
Sr2 0.946 0.681 0.224 1
Sr3 0.319 0.054 0.276 1
Sr4 0.681 0.946 0.724 1
```

Computed properties:
Its symmetry is C2/c (15). As for the polymorph energy (0 for the lowest one): 722 meV/atom. The calculated formation energy comes out at -2.721 eV per atom. The value obtained for the MP2020-corrected energy is -7.307 eV per atom. Its total energy is -365.076 eV/cell.



Record 2
Compound: SrAl2Si2O8
Source: the Materials Project
Functional: GGA-PBE
Structure: optimized geometry

```
data_SrAl2Si2O8
_symmetry_space_group_name_H-M 'P 1'
_symmetry_Int_Tables_number 1
_cell_length_a 10.255
_cell_length_b 9.878
_cell_length_c 9.878
_cell_angle_alpha 73.80
_cell_angle_beta 76.62
_cell_angle_gamma 76.63
loop_
_symmetry_equiv_pos_as_xyz
'x,y,z'
loop_
_atom_site_label
_atom_site_fract_x
_atom_site_fract_y
_atom_site_fract_z
_atom_site_occupancy
O1 0.304 0.921 0.779 1
O2 0.099 0.323 0.375 1
O3 0.632 0.135 0.542 1
O4 0.447 0.183 0.117 1
O5 0.368 0.865 0.458 1
O6 0.401 0.625 0.677 1
O7 0.425 0.362 0.569 1
O8 0.301 0.840 0.071 1
O9 0.699 0.160 0.929 1
O10 0.804 0.779 0.921 1
O11 0.137 0.114 0.613 1
O12 0.053 0.883 0.817 1
O13 0.199 0.929 0.160 1
O14 0.637 0.613 0.114 1
O15 0.132 0.542 0.135 1
O16 0.696 0.079 0.221 1
O17 0.575 0.638 0.431 1
O18 0.901 0.677 0.625 1
O19 0.597 0.890 0.105 1
O20 0.553 0.817 0.883 1
O21 0.403 0.110 0.895 1
O22 0.863 0.886 0.387 1
O23 0.599 0.375 0.323 1
O24 0.097 0.105 0.890 1
O25 0.075 0.431 0.638 1
O26 0.925 0.569 0.362 1
O27 0.903 0.895 0.110 1
O28 0.947 0.117 0.183 1
O29 0.868 0.458 0.865 1
O30 0.801 0.071 0.840 1
O31 0.363 0.387 0.886 1
O32 0.196 0.221 0.079 1
Sr1 0.737 0.922 0.667 1
Sr2 0.763 0.333 0.078 1
Sr3 0.237 0.667 0.922 1
Sr4 0.263 0.078 0.333 1
Al1 0.394 0.934 0.906 1
Al2 0.596 0.555 0.297 1
Al3 0.606 0.066 0.094 1
Al4 0.404 0.445 0.703 1
Al5 0.904 0.703 0.445 1
Al6 0.106 0.094 0.066 1
Al7 0.894 0.906 0.934 1
Al8 0.096 0.297 0.555 1
Si1 0.474 0.741 0.535 1
Si2 0.351 0.227 0.992 1
Si3 0.851 0.992 0.227 1
Si4 0.974 0.535 0.741 1
Si5 0.149 0.008 0.773 1
Si6 0.649 0.773 0.008 1
Si7 0.526 0.259 0.465 1
Si8 0.026 0.465 0.259 1
```

Computed properties:
Its symmetry is C2/c (15). As for the polymorph energy (0 for the lowest one): 703 meV/atom. The calculated formation energy comes out at -2.740 eV per atom. The value obtained for the MP2020-corrected energy is -7.326 eV per atom. Its total energy is -366.052 eV/cell.



Record 3
Compound: SrAl2Si6O21
Source: the Materials Project
Functional: GGA-PBE
Structure: optimized geometry

```
data_SrAl2Si6O21
_symmetry_space_group_name_H-M 'P 1'
_symmetry_Int_Tables_number 1
_cell_length_a 17.331
_cell_length_b 6.975
_cell_length_c 7.851
_cell_angle_alpha 85.42
_cell_angle_beta 90.00
_cell_angle_gamma 90.00
loop_
_symmetry_equiv_pos_as_xyz
'x,y,z'
loop_
_atom_site_label
_atom_site_fract_x
_atom_site_fract_y
_atom_site_fract_z
_atom_site_occupancy
O1 0.250 0.413 0.497 1
O2 0.119 0.225 0.561 1
O3 0.500 0.392 0.187 1
O4 0.998 0.202 0.773 1
O5 0.750 0.587 0.503 1
O6 0.121 0.644 0.017 1
O7 0.000 0.392 0.187 1
O8 0.500 0.000 0.500 1
O9 0.250 0.283 0.904 1
O10 0.750 0.880 0.145 1
O11 0.879 0.356 0.983 1
O12 0.097 0.907 0.757 1
O13 0.714 0.900 0.762 1
O14 0.381 0.225 0.561 1
O15 0.000 0.608 0.813 1
O16 0.786 0.900 0.762 1
O17 0.355 0.560 0.698 1
O18 0.628 0.449 0.646 1
O19 0.500 0.608 0.813 1
O20 0.872 0.449 0.646 1
O21 0.502 0.202 0.773 1
O22 0.250 0.120 0.855 1
O23 0.372 0.551 0.354 1
O24 0.903 0.093 0.243 1
O25 0.145 0.560 0.698 1
O26 0.750 0.717 0.096 1
O27 0.750 0.217 0.557 1
O28 0.128 0.551 0.354 1
O29 0.002 0.798 0.227 1
O30 0.645 0.440 0.302 1
O31 0.498 0.798 0.227 1
O32 0.214 0.100 0.238 1
O33 0.621 0.356 0.983 1
O34 0.286 0.100 0.238 1
O35 0.597 0.093 0.243 1
O36 0.403 0.907 0.757 1
O37 0.379 0.644 0.017 1
O38 0.855 0.440 0.302 1
O39 0.619 0.775 0.439 1
O40 0.881 0.775 0.439 1
O41 0.250 0.783 0.443 1
O42 0.000 0.000 0.500 1
Si1 0.551 0.916 0.350 1
Si2 0.912 0.320 0.180 1
Si3 0.412 0.680 0.820 1
Si4 0.844 0.562 0.467 1
Si5 0.156 0.438 0.533 1
Si6 0.656 0.562 0.467 1
Si7 0.051 0.084 0.650 1
Si8 0.449 0.084 0.650 1
Si9 0.588 0.320 0.180 1
Si10 0.088 0.680 0.820 1
Si11 0.344 0.438 0.533 1
Si12 0.949 0.916 0.350 1
Sr1 0.250 0.611 0.165 1
Sr2 0.750 0.389 0.835 1
Al1 0.056 0.598 0.194 1
Al2 0.944 0.402 0.806 1
Al3 0.444 0.598 0.194 1
Al4 0.556 0.402 0.806 1
```

Computed properties:
Its symmetry is P2_1/m (11). The calculated formation energy comes out at -2.409 eV per atom. The value obtained for the MP2020-corrected energy is -7.264 eV per atom. Its total energy is -429.074 eV/cell.